{"formula": "Li9Mn2Co5O16", "functional": "PBE+U", "state": "optimized geometry", "ef_ev_per_fu": -58.48, "polymorph_energy_mev_per_atom": 37, "crystal_system": "monoclinic", "cell": [[5.017, 0.000, 0.000], [0.000, 5.907, 0.000], [-1.752, 0.000, 9.647]], "species": ["Li", "Li", "Li", "Li", "Li", "Li", "Li", "Li", "Li", "Mn", "Mn", "Co", "Co", "Co", "Co", "Co", "O", "O", "O", "O", "O", "O", "O", "O", "O", "O", "O", "O", "O", "O", "O", "O"], "fractional_positions": [[0.000, 0.000, 0.000], [0.245, 0.244, 0.243], [0.245, 0.756, 0.243], [0.247, 0.000, 0.759], [0.251, 0.500, 0.756], [0.749, 0.500, 0.244], [0.753, 0.000, 0.241], [0.755, 0.244, 0.757], [0.755, 0.756, 0.757], [0.000, 0.500, 0.000], [0.500, 0.000, 0.500], [0.000, 0.256, 0.500], [0.000, 0.744, 0.500], [0.500, 0.240, 0.000], [0.500, 0.500, 0.500], [0.500, 0.760, 0.000], [0.114, 0.500, 0.384], [0.139, 0.268, 0.889], [0.139, 0.732, 0.889], [0.141, 0.000, 0.388], [0.354, 0.500, 0.115], [0.376, 0.235, 0.612], [0.376, 0.765, 0.612], [0.392, 0.000, 0.118], [0.608, 0.000, 0.882], [0.624, 0.235, 0.388], [0.624, 0.765, 0.388], [0.646, 0.500, 0.885], [0.859, 0.000, 0.612], [0.861, 0.268, 0.111], [0.861, 0.732, 0.111], [0.886, 0.500, 0.616]]}

{"formula": "Li6Mn2O5F2", "functional": "PBE+U", "state": "optimized geometry", "ef_ev_per_fu": -34.98, "polymorph_energy_mev_per_atom": 0, "crystal_system": "triclinic", "cell": [[5.830, 0.000, 0.000], [-2.739, 5.158, 0.000], [-1.302, -1.221, 9.693]], "species": ["Li", "Li", "Li", "Li", "Li", "Li", "Li", "Li", "Li", "Li", "Li", "Li", "Mn", "Mn", "Mn", "Mn", "O", "O", "O", "O", "O", "O", "O", "O", "O", "O", "F", "F", "F", "F"], "fractional_positions": [[0.000, 0.000, 0.000], [0.001, 0.731, 0.512], [0.169, 0.576, 0.731], [0.178, 0.334, 0.226], [0.435, 0.723, 0.524], [0.445, 0.180, 0.511], [0.462, 0.983, 0.011], [0.481, 0.488, 0.019], [0.713, 0.565, 0.719], [0.722, 0.135, 0.729], [0.737, 0.343, 0.226], [0.740, 0.890, 0.222], [0.207, 0.089, 0.754], [0.237, 0.864, 0.252], [0.944, 0.201, 0.488], [0.992, 0.488, 0.994], [0.084, 0.025, 0.367], [0.088, 0.293, 0.865], [0.103, 0.804, 0.875], [0.281, 0.353, 0.618], [0.339, 0.914, 0.647], [0.361, 0.690, 0.131], [0.591, 0.033, 0.366], [0.828, 0.393, 0.594], [0.844, 0.183, 0.091], [0.893, 0.681, 0.126], [0.110, 0.534, 0.372], [0.373, 0.208, 0.129], [0.601, 0.353, 0.867], [0.789, 0.858, 0.618]]}

{"formula": "Ca2NiOsO6", "functional": "PBE+U", "state": "optimized geometry", "ef_ev_per_fu": -22.58, "crystal_system": "monoclinic", "cell": [[5.408, 0.000, 0.000], [0.000, 5.615, 0.000], [-5.368, 0.000, 7.709]], "species": ["Ca", "Ca", "Ca", "Ca", "Ni", "Ni", "Os", "Os", "O", "O", "O", "O", "O", "O", "O", "O", "O", "O", "O", "O"], "fractional_positions": [[0.234, 0.059, 0.249], [0.234, 0.441, 0.749], [0.766, 0.559, 0.251], [0.766, 0.941, 0.751], [0.000, 0.000, 0.500], [0.000, 0.500, 0.000], [0.500, 0.000, 0.000], [0.500, 0.500, 0.500], [0.160, 0.192, 0.952], [0.160, 0.308, 0.452], [0.262, 0.711, 0.949], [0.262, 0.789, 0.449], [0.354, 0.030, 0.759], [0.354, 0.470, 0.259], [0.646, 0.530, 0.741], [0.646, 0.970, 0.241], [0.738, 0.211, 0.551], [0.738, 0.289, 0.051], [0.840, 0.692, 0.548], [0.840, 0.808, 0.048]]}

{"formula": "V2CoP2H8O14", "functional": "PBE+U", "state": "optimized geometry", "ef_ev_per_fu": -52.50, "crystal_system": "tetragonal", "cell": [[-3.175, 3.175, 6.733], [3.175, -3.175, 6.733], [3.175, 3.175, -6.733]], "species": ["V", "V", "Co", "P", "P", "H", "H", "H", "H", "H", "H", "H", "H", "O", "O", "O", "O", "O", "O", "O", "O", "O", "O", "O", "O", "O", "O"], "fractional_positions": [[0.222, 0.222, 0.000], [0.778, 0.778, 0.000], [0.500, 0.500, 0.000], [0.250, 0.750, 0.500], [0.750, 0.250, 0.500], [0.080, 0.267, 0.468], [0.201, 0.387, 0.468], [0.267, 0.799, 0.186], [0.387, 0.920, 0.186], [0.613, 0.080, 0.814], [0.733, 0.201, 0.814], [0.799, 0.613, 0.532], [0.920, 0.733, 0.532], [0.123, 0.798, 0.283], [0.160, 0.877, 0.674], [0.202, 0.486, 0.326], [0.230, 0.318, 0.547], [0.318, 0.770, 0.088], [0.344, 0.344, 0.000], [0.486, 0.160, 0.283], [0.514, 0.840, 0.717], [0.656, 0.656, 0.000], [0.682, 0.230, 0.912], [0.770, 0.682, 0.453], [0.798, 0.514, 0.674], [0.840, 0.123, 0.326], [0.877, 0.202, 0.717]]}

{"formula": "Li4Mn3O5F3", "functional": "PBE+U", "state": "optimized geometry", "ef_ev_per_fu": -36.32, "cell": [[2.351, -0.537, 1.670], [-8.768, 1.912, 12.959], [-0.253, -6.683, 0.782]], "species": ["Li", "Li", "Li", "Li", "Li", "Li", "Li", "Li", "Mn", "Mn", "Mn", "Mn", "Mn", "Mn", "O", "O", "O", "O", "O", "O", "O", "O", "O", "O", "F", "F", "F", "F", "F", "F"], "fractional_positions": [[0.118, 0.378, 0.763], [0.619, 0.878, 0.763], [0.769, 0.260, 0.462], [0.269, 0.760, 0.462], [0.367, 0.119, 0.266], [0.867, 0.619, 0.266], [0.004, 0.001, 0.992], [0.504, 0.501, 0.992], [0.553, 0.693, 0.893], [0.316, 0.929, 0.368], [0.683, 0.062, 0.635], [0.053, 0.193, 0.893], [0.816, 0.429, 0.368], [0.183, 0.562, 0.635], [0.281, 0.352, 0.438], [0.781, 0.852, 0.438], [0.828, 0.018, 0.344], [0.328, 0.517, 0.344], [0.544, 0.096, 0.912], [0.044, 0.596, 0.912], [0.657, 0.483, 0.686], [0.157, 0.983, 0.686], [0.214, 0.139, 0.572], [0.714, 0.639, 0.572], [0.893, 0.198, 0.214], [0.393, 0.698, 0.214], [0.980, 0.422, 0.040], [0.480, 0.922, 0.040], [0.605, 0.287, 0.789], [0.105, 0.787, 0.789]]}

{"formula": "FePH4N2O4", "functional": "PBE+U", "state": "optimized geometry", "ef_ev_per_fu": -15.29, "crystal_system": "orthorhombic", "cell": [[6.586, 0.000, 0.000], [0.000, 7.781, 0.000], [0.000, 0.000, 8.735]], "species": ["Fe", "Fe", "Fe", "Fe", "P", "P", "P", "P", "H", "H", "H", "H", "H", "H", "H", "H", "H", "H", "H", "H", "H", "H", "H", "H", "N", "N", "N", "N", "N", "N", "N", "N", "O", "O", "O", "O", "O", "O", "O", "O", "O", "O", "O", "O", "O", "O", "O", "O"], "fractional_positions": [[0.000, 0.000, 0.000], [0.000, 0.500, 0.500], [0.500, 0.000, 0.500], [0.500, 0.500, 0.000], [0.250, 0.250, 0.241], [0.250, 0.250, 0.741], [0.750, 0.750, 0.259], [0.750, 0.750, 0.759], [0.122, 0.632, 0.998], [0.122, 0.868, 0.498], [0.190, 0.619, 0.181], [0.190, 0.881, 0.681], [0.310, 0.619, 0.681], [0.310, 0.881, 0.181], [0.378, 0.632, 0.498], [0.378, 0.868, 0.998], [0.622, 0.132, 0.002], [0.622, 0.368, 0.502], [0.690, 0.119, 0.819], [0.690, 0.381, 0.319], [0.810, 0.119, 0.319], [0.810, 0.381, 0.819], [0.878, 0.132, 0.502], [0.878, 0.368, 0.002], [0.238, 0.657, 0.073], [0.238, 0.843, 0.573], [0.262, 0.657, 0.573], [0.262, 0.843, 0.073], [0.738, 0.157, 0.927], [0.738, 0.343, 0.427], [0.762, 0.157, 0.427], [0.762, 0.343, 0.927], [0.067, 0.193, 0.142], [0.067, 0.307, 0.642], [0.181, 0.095, 0.839], [0.181, 0.405, 0.339], [0.319, 0.095, 0.339], [0.319, 0.405, 0.839], [0.433, 0.193, 0.642], [0.433, 0.307, 0.142], [0.567, 0.693, 0.858], [0.567, 0.807, 0.358], [0.681, 0.595, 0.161], [0.681, 0.905, 0.661], [0.819, 0.595, 0.661], [0.819, 0.905, 0.161], [0.933, 0.693, 0.358], [0.933, 0.807, 0.858]]}

{"formula": "Sr2Ca6Fe3Co5O20", "functional": "PBE+U", "state": "optimized geometry", "ef_ev_per_fu": -80.29, "crystal_system": "triclinic", "cell": [[10.719, 0.000, 0.000], [-0.084, 11.194, 0.000], [-5.295, -5.564, 15.342]], "species": ["Sr", "Sr", "Sr", "Sr", "Sr", "Sr", "Sr", "Sr", "Ca", "Ca", "Ca", "Ca", "Ca", "Ca", "Ca", "Ca", "Ca", "Ca", "Ca", "Ca", "Ca", "Ca", "Ca", "Ca", "Ca", "Ca", "Ca", "Ca", "Ca", "Ca", "Ca", "Ca", "Fe", "Fe", "Fe", "Fe", "Fe", "Fe", "Fe", "Fe", "Fe", "Fe", "Fe", "Fe", "Co", "Co", "Co", "Co", "Co", "Co", "Co", "Co", "Co", "Co", "Co", "Co", "Co", "Co", "Co", "Co", "Co", "Co", "Co", "Co", "O", "O", "O", "O", "O", "O", "O", "O", "O", "O", "O", "O", "O", "O", "O", "O", "O", "O", "O", "O", "O", "O", "O", "O", "O", "O", "O", "O", "O", "O", "O", "O", "O", "O", "O", "O", "O", "O", "O", "O", "O", "O", "O", "O", "O", "O", "O", "O", "O", "O", "O", "O", "O", "O", "O", "O", "O", "O", "O", "O", "O", "O", "O", "O", "O", "O", "O", "O", "O", "O", "O", "O", "O", "O", "O", "O", "O", "O", "O", "O"], "fractional_positions": [[0.000, 0.000, 0.000], [0.001, 0.497, 0.998], [0.144, 0.642, 0.286], [0.252, 0.767, 0.999], [0.395, 0.410, 0.284], [0.502, 0.501, 0.000], [0.751, 0.267, 0.999], [0.889, 0.406, 0.776], [0.137, 0.636, 0.779], [0.140, 0.135, 0.779], [0.141, 0.136, 0.288], [0.247, 0.271, 0.498], [0.250, 0.772, 0.499], [0.252, 0.270, 0.995], [0.392, 0.413, 0.781], [0.392, 0.913, 0.779], [0.394, 0.916, 0.288], [0.499, 0.992, 0.497], [0.500, 0.499, 0.501], [0.501, 0.994, 0.997], [0.640, 0.135, 0.781], [0.640, 0.638, 0.780], [0.645, 0.140, 0.287], [0.646, 0.639, 0.288], [0.747, 0.771, 0.997], [0.751, 0.273, 0.496], [0.751, 0.769, 0.499], [0.887, 0.907, 0.778], [0.893, 0.916, 0.288], [0.895, 0.415, 0.288], [0.996, 0.995, 0.497], [0.999, 0.497, 0.499], [0.050, 0.800, 0.143], [0.053, 0.293, 0.145], [0.297, 0.112, 0.639], [0.299, 0.614, 0.640], [0.305, 0.112, 0.142], [0.306, 0.616, 0.144], [0.548, 0.294, 0.641], [0.551, 0.293, 0.140], [0.556, 0.802, 0.145], [0.799, 0.110, 0.144], [0.799, 0.616, 0.143], [0.801, 0.108, 0.638], [0.051, 0.799, 0.639], [0.053, 0.297, 0.637], [0.198, 0.450, 0.886], [0.200, 0.952, 0.887], [0.202, 0.456, 0.395], [0.202, 0.957, 0.395], [0.449, 0.203, 0.886], [0.449, 0.699, 0.883], [0.453, 0.705, 0.393], [0.454, 0.205, 0.395], [0.553, 0.798, 0.639], [0.696, 0.453, 0.885], [0.697, 0.950, 0.886], [0.702, 0.456, 0.393], [0.702, 0.955, 0.392], [0.800, 0.612, 0.638], [0.944, 0.702, 0.886], [0.947, 0.201, 0.885], [0.951, 0.204, 0.392], [0.951, 0.705, 0.393], [0.023, 0.798, 0.029], [0.029, 0.292, 0.031], [0.030, 0.807, 0.533], [0.033, 0.308, 0.531], [0.060, 0.816, 0.874], [0.068, 0.832, 0.384], [0.069, 0.315, 0.880], [0.069, 0.324, 0.380], [0.080, 0.575, 0.894], [0.081, 0.587, 0.410], [0.083, 0.088, 0.407], [0.086, 0.075, 0.896], [0.117, 0.134, 0.639], [0.118, 0.636, 0.640], [0.126, 0.644, 0.142], [0.127, 0.137, 0.150], [0.136, 0.413, 0.743], [0.139, 0.413, 0.254], [0.141, 0.914, 0.746], [0.143, 0.918, 0.253], [0.279, 0.495, 0.033], [0.281, 0.996, 0.030], [0.282, 0.490, 0.533], [0.285, 0.991, 0.532], [0.311, 0.323, 0.873], [0.312, 0.829, 0.875], [0.323, 0.313, 0.384], [0.324, 0.826, 0.384], [0.328, 0.587, 0.893], [0.333, 0.085, 0.407], [0.334, 0.588, 0.410], [0.335, 0.092, 0.900], [0.366, 0.273, 0.640], [0.367, 0.270, 0.135], [0.370, 0.774, 0.640], [0.378, 0.778, 0.149], [0.391, 0.101, 0.748], [0.394, 0.601, 0.749], [0.395, 0.609, 0.254], [0.400, 0.104, 0.252], [0.529, 0.299, 0.029], [0.530, 0.804, 0.031], [0.533, 0.806, 0.532], [0.536, 0.310, 0.534], [0.562, 0.821, 0.877], [0.563, 0.321, 0.873], [0.569, 0.828, 0.379], [0.574, 0.326, 0.383], [0.579, 0.090, 0.404], [0.580, 0.074, 0.897], [0.585, 0.589, 0.408], [0.586, 0.584, 0.901], [0.617, 0.132, 0.142], [0.618, 0.636, 0.640], [0.620, 0.136, 0.641], [0.623, 0.643, 0.149], [0.634, 0.417, 0.753], [0.639, 0.416, 0.250], [0.639, 0.914, 0.745], [0.647, 0.923, 0.253], [0.772, 0.501, 0.028], [0.776, 0.993, 0.033], [0.780, 0.986, 0.530], [0.784, 0.495, 0.533], [0.809, 0.319, 0.873], [0.809, 0.823, 0.875], [0.818, 0.820, 0.378], [0.819, 0.321, 0.378], [0.826, 0.589, 0.897], [0.830, 0.083, 0.893], [0.831, 0.586, 0.405], [0.832, 0.088, 0.406], [0.868, 0.777, 0.143], [0.869, 0.263, 0.631], [0.869, 0.774, 0.639], [0.872, 0.272, 0.148], [0.886, 0.609, 0.747], [0.889, 0.599, 0.250], [0.894, 0.100, 0.253], [0.895, 0.101, 0.749]]}

{"formula": "KVOF4", "functional": "PBE+U", "state": "optimized geometry", "ef_ev_per_fu": -20.56, "crystal_system": "monoclinic", "cell": [[5.685, 0.000, 0.000], [0.000, 14.002, 0.000], [-0.575, 0.000, 5.612]], "species": ["K", "K", "K", "K", "V", "V", "V", "V", "O", "O", "O", "O", "F", "F", "F", "F", "F", "F", "F", "F", "F", "F", "F", "F", "F", "F", "F", "F"], "fractional_positions": [[0.231, 0.123, 0.046], [0.231, 0.377, 0.546], [0.769, 0.623, 0.454], [0.769, 0.877, 0.954], [0.284, 0.646, 0.944], [0.284, 0.854, 0.444], [0.716, 0.146, 0.556], [0.716, 0.354, 0.056], [0.201, 0.586, 0.165], [0.201, 0.914, 0.665], [0.799, 0.086, 0.335], [0.799, 0.414, 0.835], [0.020, 0.717, 0.847], [0.020, 0.783, 0.347], [0.204, 0.566, 0.690], [0.204, 0.934, 0.190], [0.409, 0.108, 0.563], [0.409, 0.392, 0.063], [0.414, 0.745, 0.604], [0.414, 0.755, 0.104], [0.586, 0.245, 0.896], [0.586, 0.255, 0.396], [0.591, 0.608, 0.937], [0.591, 0.892, 0.437], [0.796, 0.066, 0.810], [0.796, 0.434, 0.310], [0.980, 0.217, 0.653], [0.980, 0.283, 0.153]]}